Run 1
Li6V3Sb3O16 | PBE with a Hubbard U | optimized geometry

abc: 6.0588 6.1199 10.0737
angles: 89.66 89.99 60.36
Last column: nearest neighbours and their distance in Å.
Space group P1 (No. 1)
Symmetry-distinct sites (fractional):
1 Li 0.0000 0.0000 0.0000 (multiplicity 1)  3 O 1.99-2.08
2 Li 0.0043 0.9913 0.3727 (multiplicity 1)  4 O 2.15-2.40
3 Li 0.3308 0.3380 0.8767 (multiplicity 1)  3 O 2.16-2.22
4 Li 0.3389 0.3222 0.4910 (multiplicity 1)  4 O 1.99-2.18
5 Li 0.6732 0.6532 0.3765 (multiplicity 1)  4 O 1.82-1.96
6 Li 0.6802 0.6395 0.8820 (multiplicity 1)  4 O 1.81-2.03
7 V 0.9998 0.4941 0.1662 (multiplicity 1)  6 O 1.88-2.07
8 V 0.4915 0.5020 0.1612 (multiplicity 1)  6 O 1.86-2.07
9 V 0.8358 0.3283 0.6627 (multiplicity 1)  6 O 2.02-2.15
10 Sb 0.3321 0.8322 0.6642 (multiplicity 1)  6 O 1.98-2.07
11 Sb 0.4991 0.0032 0.1640 (multiplicity 1)  6 O 2.00-2.07
12 Sb 0.8355 0.8322 0.6642 (multiplicity 1)  6 O 1.98-2.07
13 O 0.0061 0.9876 0.7781 (multiplicity 1)  2 Sb 2.07, 1 V 2.15, 1 Li 2.24
14 O 0.1548 0.6903 0.5510 (multiplicity 1)  2 Sb 2.04, 1 Li 2.05
15 O 0.1598 0.1448 0.5577 (multiplicity 1)  1 Sb 1.98, 1 Li 1.99, 1 V 2.02
16 O 0.1786 0.1846 0.0571 (multiplicity 1)  1 V 1.99, 1 Li 2.00, 1 Sb 2.00
17 O 0.1875 0.6293 0.0677 (multiplicity 1)  2 V 1.86-1.97, 1 Li 2.08
18 O 0.3349 0.3304 0.2742 (multiplicity 1)  2 V 2.07, 1 Sb 2.07, 1 Li 2.18
19 O 0.3632 0.8146 0.2702 (multiplicity 1)  2 Li 1.95-2.16, 1 V 2.01, 1 Sb 2.02
20 O 0.5092 0.5155 0.7691 (multiplicity 1)  2 Li 1.93-2.16, 1 Sb 1.99, 1 V 2.04
21 O 0.5167 0.9665 0.7773 (multiplicity 1)  2 Li 2.03-2.22, 2 Sb 2.04
22 O 0.6384 0.1843 0.0575 (multiplicity 1)  1 Li 1.99, 1 V 1.99, 1 Sb 2.00
23 O 0.6636 0.6726 0.5568 (multiplicity 1)  1 Li 1.82
24 O 0.6659 0.6679 0.0612 (multiplicity 1)  1 Li 1.81
25 O 0.6952 0.1448 0.5576 (multiplicity 1)  1 Sb 1.98, 1 Li 1.99, 1 V 2.02
26 O 0.8196 0.3666 0.2608 (multiplicity 1)  2 V 1.88-2.00, 1 Li 1.92
27 O 0.8233 0.8147 0.2699 (multiplicity 1)  2 Li 1.96-2.15, 1 V 2.01, 1 Sb 2.02
28 O 0.9751 0.5155 0.7691 (multiplicity 1)  2 Li 1.93-2.16, 1 Sb 1.99, 1 V 2.04

Run 2
Li6V3Sb3O16 | PBE with a Hubbard U | optimized geometry

abc: 6.0374 6.1009 10.0567
angles: 90.01 90.00 119.65
Last column: nearest neighbours and their distance in Å.
Space group P1 (No. 1)
Symmetry-distinct sites (fractional):
1 Li 0.0000 0.0000 0.0000 (multiplicity 1)  3 O 1.99-2.06
2 Li 0.0029 0.0058 0.6280 (multiplicity 1)  4 O 2.15-2.40
3 Li 0.3307 0.6614 0.1209 (multiplicity 1)  6 O 2.20-2.42
4 Li 0.3381 0.6762 0.5115 (multiplicity 1)  4 O 2.01-2.16
5 Li 0.6736 0.3473 0.6268 (multiplicity 1)  4 O 1.84-1.95
6 Li 0.6793 0.3587 0.1176 (multiplicity 1)  3 O 1.80-1.94
7 V 0.0045 0.5029 0.8359 (multiplicity 1)  6 O 1.92-2.06
8 V 0.4939 0.5004 0.8376 (multiplicity 1)  6 O 1.90-2.06
9 V 0.8350 0.6701 0.3385 (multiplicity 1)  6 O 1.97-2.11
10 Sb 0.3316 0.1667 0.3372 (multiplicity 1)  6 O 1.98-2.07
11 Sb 0.4989 0.9974 0.8375 (multiplicity 1)  6 O 2.01-2.07
12 Sb 0.8350 0.1667 0.3372 (multiplicity 1)  6 O 1.98-2.07
13 O 0.0016 0.0033 0.2237 (multiplicity 1)  2 Sb 2.07, 1 V 2.11, 1 Li 2.25
14 O 0.1529 0.8504 0.4415 (multiplicity 1)  1 V 1.97, 1 Sb 1.98, 1 Li 2.01
15 O 0.1550 0.3101 0.4508 (multiplicity 1)  2 Sb 2.03, 1 Li 2.03
16 O 0.1760 0.8119 0.9441 (multiplicity 1)  1 V 1.97, 1 Li 1.99, 1 Sb 2.01
17 O 0.1855 0.3691 0.9357 (multiplicity 1)  2 V 1.90-1.94, 1 Li 2.06
18 O 0.3347 0.6693 0.7260 (multiplicity 1)  2 V 2.06, 1 Sb 2.07, 1 Li 2.16
19 O 0.3617 0.1872 0.7310 (multiplicity 1)  2 Li 1.94-2.15, 1 V 1.98, 1 Sb 2.03
20 O 0.5151 0.0302 0.2234 (multiplicity 1)  2 Sb 2.04, 2 Li 2.04-2.21
21 O 0.5146 0.4882 0.2345 (multiplicity 1)  1 Li 1.94, 1 V 1.99, 1 Sb 2.00
22 O 0.6365 0.8121 0.9440 (multiplicity 1)  1 V 1.97, 1 Li 1.99, 1 Sb 2.01
23 O 0.6664 0.3330 0.9394 (multiplicity 1)  1 Li 1.80
24 O 0.6673 0.3346 0.4442 (multiplicity 1)  1 Li 1.84
25 O 0.6974 0.8504 0.4415 (multiplicity 1)  1 V 1.97, 1 Sb 1.98, 1 Li 2.01
26 O 0.8173 0.6324 0.7411 (multiplicity 1)  1 Li 1.90, 2 V 1.92-1.96
27 O 0.8258 0.1871 0.7311 (multiplicity 1)  2 Li 1.95-2.15, 1 V 1.98, 1 Sb 2.03
28 O 0.9735 0.4882 0.2345 (multiplicity 1)  1 Li 1.94, 1 V 1.99, 1 Sb 2.00

What should be chosen as the most stable of them? Choose run 1.

Run 1
LiSbWO6 | PBE with a Hubbard U | optimized geometry

abc: 7.2087 7.4259 10.3456
angles: 90.00 90.00 90.00
Last column: nearest neighbours and their distance in Å.
Space group Imma (No. 74)
Symmetry-distinct sites (fractional):
1 Li 0.0000 0.0000 0.0000 (multiplicity 4)  6 O 2.53-2.58
2 Sb 0.2500 0.2500 0.2500 (multiplicity 4)  6 O 1.99-2.00
3 W 0.0000 0.0000 0.5000 (multiplicity 4)  6 O 1.93-1.94
4 O 0.0000 0.2500 0.1656 (multiplicity 4)  2 Sb 2.00
5 O 0.0000 0.2500 0.5549 (multiplicity 4)  2 W 1.94
6 O 0.1941 0.0563 0.3777 (multiplicity 16)  1 W 1.93, 1 Sb 1.99

Run 2
LiSbWO6 | PBE with a Hubbard U | optimized geometry

abc: 4.7593 17.7407 5.0939
angles: 90.00 90.00 90.00
Last column: nearest neighbours and their distance in Å.
Space group Pbcn (No. 60)
Symmetry-distinct sites (fractional):
1 Li 0.0000 0.0479 0.2500 (multiplicity 4)  6 O 2.12-2.31
2 Sb 0.0000 0.2815 0.7500 (multiplicity 4)  6 O 2.01-2.04
3 W 0.0000 0.3968 0.2500 (multiplicity 4)  4 O 1.78-1.95
4 O 0.2062 0.3638 0.5609 (multiplicity 8)  1 W 1.95, 1 Sb 2.01
5 O 0.2399 0.2933 0.0798 (multiplicity 8)  2 Sb 2.01-2.04
6 O 0.2462 0.0424 0.6061 (multiplicity 8)  1 W 1.78

What should be chosen as the most stable of them? Choose run 2.

Run 1
Sr2LiV2Si4O14 | PBE with a Hubbard U | optimized geometry

abc: 14.7582 5.4699 7.1934
angles: 90.00 91.66 90.00
Last column: nearest neighbours and their distance in Å.
Space group C2 (No. 5)
Symmetry-distinct sites (fractional):
1 Sr 0.1982 0.0000 0.2577 (multiplicity 4)  10 O 2.65-2.93
2 Li 0.0000 0.1215 0.0000 (multiplicity 2)  2 O 1.88
3 V 0.1114 0.9928 0.7403 (multiplicity 4)  1 O 1.74
4 Si 0.1083 0.4974 0.4742 (multiplicity 4)  4 O 1.61-1.67
5 Si 0.1099 0.5063 0.0248 (multiplicity 4)  4 O 1.62-1.67
6 O 0.0000 0.4993 0.5000 (multiplicity 2)  2 Si 1.61
7 O 0.0000 0.5067 0.0000 (multiplicity 2)  2 Si 1.63
8 O 0.0058 0.9970 0.2437 (multiplicity 4)  1 V 1.74, 1 Li 1.88
9 O 0.1375 0.5043 0.2511 (multiplicity 4)  2 Si 1.67
10 O 0.1427 0.2418 0.9488 (multiplicity 4)  1 Si 1.63
11 O 0.1537 0.2479 0.5589 (multiplicity 4)  1 Si 1.63
12 O 0.1560 0.7425 0.5586 (multiplicity 4)  1 Si 1.62
13 O 0.1568 0.7463 0.9381 (multiplicity 4)  1 Si 1.62

Run 2
Sr2LiV2Si4O14 | PBE with a Hubbard U | optimized geometry

abc: 5.4949 7.2174 7.7772
angles: 90.00 109.28 90.00
Last column: nearest neighbours and their distance in Å.
Space group Pm (No. 6)
Symmetry-distinct sites (fractional):
1 Sr 0.0000 0.0000 0.0000 (multiplicity 1)  9 O 2.66-2.93
2 Sr 0.3782 0.5000 0.7724 (multiplicity 1)  7 O 2.62-2.91
3 Li 0.5042 0.5000 0.3765 (multiplicity 1)  3 O 1.80-1.97
4 V 0.0553 0.5000 0.1661 (multiplicity 1)  3 O 1.84-2.04
5 V 0.3040 0.0000 0.6094 (multiplicity 1)  1 O 1.64
6 Si 0.5780 0.2241 0.1694 (multiplicity 2)  4 O 1.61-1.65
7 Si 0.8057 0.2712 0.6115 (multiplicity 2)  4 O 1.62-1.70
8 O 0.0937 0.1875 0.6981 (multiplicity 2)  1 Si 1.62
9 O 0.1907 0.0000 0.3855 (multiplicity 1)  1 V 1.64
10 O 0.1986 0.5000 0.4155 (multiplicity 1)  1 Li 1.80, 1 V 1.84
11 O 0.2908 0.3090 0.0932 (multiplicity 2)  1 Si 1.61
12 O 0.5514 0.0000 0.1252 (multiplicity 1)  2 Si 1.65
13 O 0.5933 0.1859 0.6934 (multiplicity 2)  1 Si 1.62
14 O 0.6927 0.2651 0.3895 (multiplicity 2)  2 Si 1.63-1.64
15 O 0.7764 0.3023 0.0736 (multiplicity 2)  1 Si 1.61
16 O 0.8182 0.5000 0.6633 (multiplicity 1)  2 Si 1.70

What should be chosen as the most stable of them? Choose run 1.

Run 1
Sr2LiV2Si4O14 | PBE with a Hubbard U | optimized geometry

abc: 7.2584 5.4505 15.5976
angles: 90.00 90.00 90.00
Last column: nearest neighbours and their distance in Å.
Space group Amm2 (No. 38)
Symmetry-distinct sites (fractional):
1 Sr 0.0000 0.0000 0.0000 (multiplicity 2)  10 O 2.80-2.95
2 Sr 0.5000 0.0000 0.3537 (multiplicity 2)  1 O 2.19
3 Li 0.5000 0.0000 0.5331 (multiplicity 2)  4 O 1.97
4 V 0.0000 0.0000 0.3172 (multiplicity 2)  1 O 1.63
5 V 0.5000 0.0000 0.0987 (multiplicity 2)  1 O 1.78
6 Si 0.2142 0.0000 0.6056 (multiplicity 4)  4 O 1.61-1.65
7 Si 0.2700 0.0000 0.8105 (multiplicity 4)  4 O 1.62-1.69
8 O 0.0000 0.0000 0.2127 (multiplicity 2)  1 V 1.63
9 O 0.0000 0.0000 0.5711 (multiplicity 2)  2 Si 1.65
10 O 0.1908 0.2474 0.8571 (multiplicity 8)  1 Si 1.64
11 O 0.2256 0.0000 0.7090 (multiplicity 4)  2 Si 1.61-1.62
12 O 0.3064 0.2409 0.5611 (multiplicity 8)  1 Si 1.63
13 O 0.5000 0.0000 0.2131 (multiplicity 2)  1 V 1.78
14 O 0.5000 0.0000 0.8290 (multiplicity 2)  2 Si 1.69

Run 2
Sr2LiV2Si4O14 | PBE with a Hubbard U | optimized geometry

abc: 5.4637 7.1966 7.8354
angles: 88.15 70.77 89.22
Last column: nearest neighbours and their distance in Å.
Space group P1 (No. 1)
Symmetry-distinct sites (fractional):
1 Sr 0.0000 0.0000 0.0000 (multiplicity 1)  8 O 2.58-2.86
2 Sr 0.3625 0.5157 0.2148 (multiplicity 1)  9 O 2.61-2.92
3 Li 0.2980 0.2528 0.6104 (multiplicity 1)  3 O 1.83-2.01
4 V 0.0650 0.5144 0.8504 (multiplicity 1)  1 O 1.66
5 V 0.2521 0.9944 0.4050 (multiplicity 1)  3 O 1.84-2.05
6 Si 0.5791 0.7849 0.8285 (multiplicity 1)  4 O 1.61-1.68
7 Si 0.5819 0.2361 0.8405 (multiplicity 1)  4 O 1.62-1.67
8 Si 0.7701 0.7332 0.3958 (multiplicity 1)  4 O 1.62-1.67
9 Si 0.7713 0.2862 0.4020 (multiplicity 1)  4 O 1.61-1.66
10 O 0.0493 0.1910 0.3080 (multiplicity 1)  1 Si 1.61
11 O 0.0601 0.8118 0.2988 (multiplicity 1)  1 Si 1.62
12 O 0.1532 0.0209 0.6508 (multiplicity 1)  1 Li 1.83, 1 V 1.84
13 O 0.1683 0.5058 0.6265 (multiplicity 1)  1 V 1.66
14 O 0.2861 0.3190 0.9214 (multiplicity 1)  1 Si 1.64
15 O 0.2879 0.6970 0.9209 (multiplicity 1)  1 Si 1.64
16 O 0.5223 0.2207 0.3515 (multiplicity 1)  1 Si 1.62
17 O 0.5505 0.0081 0.8886 (multiplicity 1)  2 Si 1.67-1.68
18 O 0.5545 0.8154 0.3127 (multiplicity 1)  1 Si 1.62
19 O 0.6761 0.2757 0.6241 (multiplicity 1)  2 Si 1.62-1.64
20 O 0.6810 0.7559 0.6137 (multiplicity 1)  2 Si 1.61-1.63
21 O 0.7796 0.6970 0.9256 (multiplicity 1)  1 Si 1.64
22 O 0.7807 0.3185 0.9345 (multiplicity 1)  1 Si 1.63
23 O 0.8071 0.5100 0.3392 (multiplicity 1)  2 Si 1.66-1.67

Run 3
Sr2LiV2Si4O14 | PBE with a Hubbard U | optimized geometry

abc: 5.5142 7.1380 7.6340
angles: 90.00 101.03 90.00
Last column: nearest neighbours and their distance in Å.
Space group Pm (No. 6)
Symmetry-distinct sites (fractional):
1 Sr 0.0000 0.0000 0.0000 (multiplicity 1)  1 O 2.28
2 Sr 0.1603 0.5000 0.7007 (multiplicity 1)  8 O 2.58-2.82
3 Li 0.5128 0.0000 0.7786 (multiplicity 1)  3 O 1.87-2.03
4 V 0.0179 0.5000 0.1269 (multiplicity 1)  1 O 1.65
5 V 0.0856 0.0000 0.5368 (multiplicity 1)  1 O 1.77
6 Si 0.5206 0.2286 0.1190 (multiplicity 2)  4 O 1.61-1.73
7 Si 0.6076 0.2724 0.5465 (multiplicity 2)  4 O 1.62-1.65
8 O 0.0782 0.5000 0.3467 (multiplicity 1)  1 V 1.65
9 O 0.0810 0.0000 0.3041 (multiplicity 1)  1 V 1.77
10 O 0.2484 0.3137 0.0312 (multiplicity 2)  1 Si 1.64
11 O 0.3746 0.1962 0.6293 (multiplicity 2)  1 Si 1.63
12 O 0.5032 0.0000 0.0432 (multiplicity 1)  2 Si 1.73
13 O 0.5704 0.2344 0.3337 (multiplicity 2)  2 Si 1.61-1.62
14 O 0.6184 0.5000 0.5877 (multiplicity 1)  2 Si 1.65
15 O 0.7566 0.3084 0.0437 (multiplicity 2)  1 Si 1.62
16 O 0.8733 0.1919 0.6494 (multiplicity 2)  1 Si 1.63

What should be chosen as the most stable of them? Choose run 2.

Run 1
LiVSiO5 | PBE with a Hubbard U | optimized geometry

abc: 8.9403 8.9623 4.6291
angles: 90.00 90.00 90.00
Last column: nearest neighbours and their distance in Å.
Space group Cmme (No. 67)
Symmetry-distinct sites (fractional):
1 Li 0.2500 0.2500 0.0000 (multiplicity 4)  4 O 2.06
2 V 0.0000 0.2500 0.3956 (multiplicity 4)  1 O 1.63
3 Si 0.2500 0.0000 0.5000 (multiplicity 4)  4 O 1.65
4 O 0.0000 0.2500 0.7483 (multiplicity 4)  1 V 1.63
5 O 0.1479 0.1076 0.2899 (multiplicity 16)  1 Si 1.65

Run 2
LiVSiO5 | PBE with a Hubbard U | optimized geometry

abc: 8.9952 4.4965 9.3215
angles: 90.00 90.00 90.00
Last column: nearest neighbours and their distance in Å.
Space group Pmc2_1 (No. 26)
Symmetry-distinct sites (fractional):
1 Li 0.0000 0.0071 0.0000 (multiplicity 2)  4 O 2.14-2.17
2 Li 0.5000 0.3656 0.7434 (multiplicity 2)  5 O 2.00-2.19
3 V 0.0000 0.4176 0.2561 (multiplicity 2)  1 O 1.63
4 V 0.5000 0.0384 0.4630 (multiplicity 2)  1 O 1.64
5 Si 0.2502 0.4993 0.5050 (multiplicity 4)  4 O 1.64-1.65
6 O 0.0000 0.2195 0.7589 (multiplicity 2)  1 V 1.63
7 O 0.1416 0.3094 0.3968 (multiplicity 4)  1 Si 1.64
8 O 0.1426 0.3137 0.1147 (multiplicity 4)  1 Si 1.64
9 O 0.3556 0.2526 0.9244 (multiplicity 4)  1 Si 1.65
10 O 0.3605 0.2530 0.5806 (multiplicity 4)  1 Si 1.65
11 O 0.5000 0.2103 0.3080 (multiplicity 2)  1 V 1.64

Run 3
LiVSiO5 | PBE with a Hubbard U | optimized geometry

abc: 4.6623 6.2933 6.3883
angles: 90.00 92.52 90.00
Last column: nearest neighbours and their distance in Å.
Space group P2_1/m (No. 11)
Symmetry-distinct sites (fractional):
1 Li 0.0000 0.0000 0.0000 (multiplicity 2)  4 O 2.01-2.06
2 V 0.3950 0.2500 0.7406 (multiplicity 2)  2 O 1.63-1.81
3 Si 0.4984 0.7500 0.7586 (multiplicity 2)  4 O 1.64-1.65
4 O 0.2556 0.7500 0.2253 (multiplicity 2)  1 V 1.63
5 O 0.2641 0.2500 0.0443 (multiplicity 2)  1 Si 1.64
6 O 0.2908 0.5387 0.7685 (multiplicity 4)  1 Si 1.65
7 O 0.3263 0.2500 0.4594 (multiplicity 2)  1 Si 1.65, 1 V 1.81

What should be chosen as the most stable of them? Choose run 3.